Here is a geometry-optimized EuClO structure from Materials Project. Energies are from r2SCAN.

Properties
For the total energy, the calculation gives -19.6626 eV per atom. The space group is P4/nmm.

a b c (Å): 3.9341 3.9341 6.9621
angles (deg): 90.00 90.00 90.00
Positions (direct):
1 Eu 0.2500 0.2500 0.1772
2 Eu 0.7500 0.7500 0.8228
3 Cl 0.2500 0.2500 0.6331
4 Cl 0.7500 0.7500 0.3669
5 O 0.2500 0.7500 0.0000
6 O 0.7500 0.2500 0.0000